Entry from Materials Project: an optimized crystal structure of Li2CoP2O7 (GGA+U).

Cell: 8.1589 9.9841 8.8428 Å, 90.00 66.47 107.81°
Closest atoms and distances in Å follow each position.
Fractional coordinates of all 48 atoms:
P: 0.2957 0.2665 0.3151  4 O 1.51-1.65
P: 0.2958 0.1314 0.8151  4 O 1.51-1.65
P: 0.7043 0.7335 0.6849  4 O 1.51-1.65
P: 0.7042 0.3686 0.1848  4 O 1.51-1.65
P: 0.7042 0.8686 0.1849  4 O 1.51-1.65
P: 0.7043 0.2335 0.6848  4 O 1.51-1.65
P: 0.2958 0.6314 0.8152  4 O 1.51-1.65
P: 0.2957 0.7665 0.3152  4 O 1.51-1.65
O: 0.2911 0.3345 0.1606  1 P 1.55
O: 0.7002 0.9732 0.0588  1 P 1.54
O: 0.8551 0.8768 0.6112  1 P 1.51
O: 0.7089 0.4390 0.3394  1 P 1.55
O: 0.2911 0.0610 0.6606  1 P 1.55
O: 0.1449 0.6232 0.3888  1 P 1.51
O: 0.2911 0.8345 0.1606  1 P 1.55
O: 0.2997 0.5268 0.9412  1 P 1.54
O: 0.7089 0.6655 0.8394  1 P 1.55
O: 0.7089 0.1655 0.8394  1 P 1.55
O: 0.8551 0.3768 0.6112  1 P 1.51
O: 0.8551 0.8008 0.1112  1 P 1.51
O: 0.2997 0.8731 0.4413  1 P 1.54
O: 0.7089 0.9390 0.3394  1 P 1.55
O: 0.1449 0.1992 0.8888  1 P 1.51
O: 0.1449 0.6992 0.8888  1 P 1.51
O: 0.2998 0.0268 0.9412  1 P 1.54
O: 0.7003 0.1269 0.5587  1 P 1.54
O: 0.8551 0.3008 0.1112  1 P 1.51
O: 0.1449 0.1232 0.3888  1 P 1.51
O: 0.2997 0.3731 0.4412  1 P 1.54
O: 0.7003 0.6269 0.5588  1 P 1.54
O: 0.5000 0.2383 0.2500  2 P 1.65
O: 0.5000 0.7383 0.2500  2 P 1.65
O: 0.5000 0.7617 0.7500  2 P 1.65
O: 0.2911 0.5610 0.6606  1 P 1.55
O: 0.5000 0.2617 0.7500  2 P 1.65
O: 0.7003 0.4732 0.0588  1 P 1.54
Li: 0.8793 0.1650 0.9475  4 O 1.93-1.98
Li: 0.1207 0.9753 0.5525  4 O 1.93-1.98
Li: 0.8793 0.6650 0.9475  4 O 1.93-1.98
Li: 0.8793 0.0247 0.4475  4 O 1.93-1.98
Li: 0.1207 0.3350 0.0525  4 O 1.93-1.98
Li: 0.1207 0.4753 0.5525  4 O 1.93-1.98
Li: 0.1207 0.8350 0.0525  4 O 1.93-1.98
Li: 0.8793 0.5247 0.4475  4 O 1.93-1.98
Co: 0.5000 0.5000 0.0000  4 O 1.99-2.00
Co: 0.5000 0.0000 0.5000  4 O 1.99-2.00
Co: 0.5000 0.0000 0.0000  4 O 1.99-2.00
Co: 0.5000 0.5000 0.5000  4 O 1.99-2.00

Results
energy with MP2020 corrections	-7.216	eV per atom
formation enthalpy at 0 K	-30.206	eV per formula unit

***

Entry from Materials Project: an optimized crystal structure of LiCo2P2O8 (GGA+U).

Cell: 5.1189 8.5676 10.1165 Å, 54.54 90.00 90.00°
Closest atoms and distances in Å follow each position.
Fractional coordinates of all 26 atoms:
O: 0.6125 0.5689 0.7733  1 P 1.59
O: 0.0843 0.0658 0.7603  1 P 1.52
O: 0.9329 0.4312 0.1103  1 P 1.59
O: 0.5098 0.7497 0.4745  1 P 1.55
O: 0.9157 0.0658 0.2603  1 P 1.52
O: 0.4604 0.9336 0.1024  1 P 1.52
O: 0.0671 0.4312 0.6103  1 P 1.59
O: 0.5396 0.9336 0.6024  1 P 1.52
O: 0.4902 0.7497 0.9745  1 P 1.55
O: 0.3875 0.5689 0.2733  1 P 1.59
O: 0.8361 0.7092 0.1740  1 P 1.57
O: 0.0138 0.2829 0.4593  1 P 1.57
O: 0.6514 0.2480 0.6518  1 P 1.55
O: 0.3486 0.2480 0.1518  1 P 1.55
O: 0.1639 0.7092 0.6740  1 P 1.57
O: 0.9862 0.2829 0.9593  1 P 1.57
Li: 0.5637 0.4978 0.0042  4 O 2.03-2.08
Li: 0.4363 0.4978 0.5042  4 O 2.03-2.08
P: 0.4603 0.7475 0.6268  4 O 1.52-1.59
P: 0.5397 0.7475 0.1268  4 O 1.52-1.59
P: 0.0498 0.2498 0.1256  4 O 1.52-1.59
P: 0.9502 0.2498 0.6256  4 O 1.52-1.59
Co: 0.5521 0.9995 0.2532  4 O 1.96-2.03
Co: 0.0442 0.4986 0.2515  4 O 1.83-1.91
Co: 0.9558 0.4986 0.7515  4 O 1.83-1.91
Co: 0.4479 0.9995 0.7532  4 O 1.96-2.03

Results
energy with MP2020 corrections	-7.352	eV per atom
formation enthalpy at 0 K	-29.040	eV per formula unit
SG	Pc (7)

***

Question: Which formula does entry 1 have?
Answer: Li2CoP2O7

***

Question: Which formula does entry 1 have?
Answer: Li2CoP2O7

***

Question: Which value of energy with MP2020 corrections does entry 2 give?
Answer: -7.352 eV per atom

***

Question: The highest formation enthalpy at 0 K belongs to which entry?
Answer: LiCo2P2O8